A geometry-optimized CoH2CO3 structure, computed with GGA+U.

Total magnetic moment: 6.0 Bohr magnetons per cell
Energy relative to the elements: -1.154 eV/atom

```
42
Lattice="5.7818 3.3381 3.9553 -5.7818 3.3381 3.9553 0.0000 -6.6762 3.9553" Properties=species:S:1:pos:R:3 pbc="T T T"
Co -2.1107 -0.6082 4.9451
Co -0.5286 -2.1320 6.9207
Co 1.5821 -1.5238 4.9451
Co -1.5820 1.5238 6.9207
Co 0.5286 2.1320 4.9451
Co 2.1107 0.6082 6.9207
H -1.8434 0.6215 1.8923
H 0.3835 -1.9071 1.8923
H -0.6494 -2.4296 4.2508
H -1.7794 1.7772 4.2508
H 1.4599 1.2857 1.8923
H -2.4288 -0.6524 7.6150
H 2.4288 0.6524 4.2508
H -1.4599 -1.2857 9.9735
H 1.7794 -1.7772 7.6150
H 0.6494 2.4296 7.6150
H -0.3835 1.9071 9.9736
H 1.8434 -0.6215 9.9736
C -3.1294 -3.2042 6.0221
C -4.3396 1.1081 5.8438
C 1.2102 -4.3122 5.8438
C -1.2102 4.3122 6.0221
C 4.3396 -1.1081 6.0221
C 3.1294 3.2042 5.8438
O -3.1774 -2.3276 5.0886
O -3.9766 0.3106 4.9375
O -2.2573 -3.2886 6.9283
O -0.3885 -1.6785 4.8231
O -3.6044 1.5879 6.7773
O -1.2594 1.1757 4.8231
O 1.7193 -3.5992 4.9375
O 0.4270 -3.9155 6.7773
O -1.6478 -0.5028 7.0428
O 1.6478 0.5028 4.8231
O -0.4270 3.9155 5.0886
O -1.7193 3.5992 6.9283
O 1.2594 -1.1757 7.0428
O 3.6044 -1.5879 5.0886
O 0.3885 1.6785 7.0428
O 2.2573 3.2886 4.9375
O 3.9766 -0.3106 6.9283
O 3.1774 2.3276 6.7773
```